The following is a r²SCAN calculation of a relaxed structure of Rb2YAgF6, from the Materials Project database.

Geometry as extended XYZ:
```
10
Lattice="0.000 4.543 4.543 4.543 0.000 4.543 4.543 4.543 0.000" Properties=species:S:1:pos:R:3 pbc="T T T"
F 6.697 4.543 4.543
F 4.543 4.543 2.390
F 4.543 2.390 4.543
F 4.543 4.543 6.697
F 4.543 6.697 4.543
F 2.390 4.543 4.543
Ag 0.000 0.000 0.000
Rb 2.272 2.272 2.272
Rb 6.815 6.815 6.815
Y 4.543 4.543 4.543
```

## Properties
final energy: -119.895 eV per formula unit
DFT formation energy: -3.16 eV/atom
space group: Fm-3m